# GGA+U MgAl6FeSi2B2O18, relaxed
# Calculated formation energy ... -3.197 eV per atom
# DFT total energy ... -454.2 eV/cell
data_MgAl6FeSi2B2O18
_symmetry_space_group_name_H-M 'P m c 21'
_symmetry_Int_Tables_number 26
_cell_length_a 5.830
_cell_length_b 10.444
_cell_length_c 11.168
_cell_angle_alpha 90.00
_cell_angle_beta 90.00
_cell_angle_gamma 90.00
loop_
_symmetry_equiv_pos_as_xyz
'x,y,z'
'-x,-y,z+1/2'
'-x,y,z'
'x,-y,z+1/2'
loop_
_atom_site_label
_atom_site_fract_x
_atom_site_fract_y
_atom_site_fract_z
Mg1 0.000 0.157 0.000
Al1 0.000 0.023 0.229
Al2 0.250 0.250 0.280
Al3 0.250 0.250 0.782
Al4 0.500 0.476 0.333
Fe1 0.500 0.343 0.562
Si1 0.000 0.183 0.544
Si2 0.500 0.314 0.016
B1 0.000 0.499 0.281
B2 0.500 0.001 0.281
O1 0.000 0.025 0.570
O2 0.000 0.132 0.803
O3 0.000 0.202 0.181
O4 0.000 0.224 0.401
O5 0.000 0.371 0.784
O6 0.204 0.431 0.280
O7 0.225 0.243 0.611
O8 0.272 0.256 0.952
O9 0.296 0.069 0.282
O10 0.500 0.129 0.777
O11 0.500 0.276 0.160
O12 0.500 0.297 0.377
O13 0.500 0.368 0.761
O14 0.500 0.472 0.990